38
Lattice="5.1950 0.0000 0.0000 2.5563 4.9202 0.0000 2.2781 -0.7171 17.1131" Properties=species:S:1:pos:R:3 comment="Li3V4O3F9 | Materials Project | GGA+U | optimized geometry" e_above_lowest_polymorph_kj_per_mol_atoms=2.58 delta_e_f_ev_per_atom=-2.949 energy_ev_per_cell=-234.3 pbc="T T T"
Li 0.0000 0.0000 0.0000
Li 2.3330 0.8942 8.4656
Li 2.4667 1.6128 2.1007
Li 5.0178 2.8026 10.2706
Li 5.0837 3.4543 4.4408
Li 7.4594 1.3886 14.6521
V 4.8971 3.4708 13.7675
V 2.6358 1.4954 5.3037
V 4.6691 0.2585 15.8379
V 5.0479 3.1195 7.3626
V 4.9589 -0.0984 9.4993
V 5.2093 2.6622 0.8757
V 7.4243 1.6345 11.5474
V 7.7722 4.6872 3.0507
O 3.7664 -0.5040 14.4457
O 4.1300 2.4550 5.7717
O 5.9430 3.9255 8.8615
O 6.4497 1.0367 10.0894
O 5.7756 1.1762 1.9652
O 8.3227 1.2560 16.4485
F 1.0000 0.3266 4.6420
F 3.9117 0.6287 11.0609
F 4.1975 3.4476 2.6164
F 4.2580 1.6398 8.5157
F 6.6655 3.5931 17.1122
F 5.5379 1.8168 14.8112
F 5.7035 4.6105 6.1146
F 5.7988 2.8174 12.0742
F 3.4206 0.6994 3.5421
F 3.4880 1.5768 0.4435
F 8.9973 4.1455 15.4565
F 6.7589 1.9744 6.9328
F 6.9070 3.7560 1.4436
F 6.8547 0.2310 12.8675
F 7.0230 3.0067 4.0511
F 8.2656 3.1914 10.5648
F 8.4173 2.3773 13.2614
F 8.6603 4.3358 7.9202